! FeNi3 GGA-PBE relaxed; values from VASP
&SYSTEM
  ibrav = 0, nat = 4, ntyp = 2
/
ATOMIC_SPECIES
Fe 55.84 Fe.upf
Ni 58.69 Ni.upf
CELL_PARAMETERS angstrom
3.5374 0.0000 0.0000
0.0000 3.5374 0.0000
0.0000 0.0000 3.5374
ATOMIC_POSITIONS angstrom
Fe 0.0000 0.0000 0.0000
Ni 0.0000 1.7687 1.7687
Ni 1.7687 0.0000 1.7687
Ni 1.7687 1.7687 0.0000
! Mass density (g/cm3): 8.70
! ΔE_f (kcal/mol of atoms): -2.07